1.
Entry from the Materials Project: Na7Mg3GeP5SO24 after structural relaxation (PBE-GGA).

Unit cell a=8.885 b=8.896 c=21.766 alpha=89.71 beta=89.85 gamma=60.05
Space group P1 (No. 1)
Unique sites:
Na (0.000, 0.000, 0.000) x1
Na (0.000, 0.376, 0.497) x1
Na (0.038, 0.045, 0.666) x1
Na (0.039, 0.683, 0.410) x1
Na (0.049, 0.677, 0.912) x1
Na (0.059, 0.345, 0.829) x1
Na (0.335, 0.345, 0.326) x1
Na (0.348, 0.016, 0.244) x1
Na (0.363, 0.003, 0.751) x1
Na (0.372, 0.635, 0.493) x1
Na (0.377, 0.376, 0.002) x1
Na (0.392, 0.678, 0.164) x1
Na (0.395, 0.307, 0.668) x1
Na (0.677, 0.025, 0.164) x1
Na (0.681, 0.664, 0.665) x1
Na (0.709, 0.338, 0.084) x1
Na (0.711, 0.340, 0.578) x1
Na (0.711, 0.978, 0.834) x1
Na (0.713, 0.699, 0.326) x1
Na (0.736, 0.641, 0.002) x1
Na (0.740, 0.008, 0.493) x1
Mg (0.037, 0.666, 0.560) x1
Mg (0.037, 0.677, 0.071) x1
Mg (0.040, 0.675, 0.265) x1
Mg (0.045, 0.665, 0.770) x1
Mg (0.366, 0.010, 0.597) x1
Mg (0.372, 0.005, 0.103) x1
Mg (0.699, 0.340, 0.930) x1
Mg (0.706, 0.337, 0.431) x1
Mg (0.709, 0.340, 0.739) x1
Ge (0.366, 0.005, 0.395) x1
Ge (0.378, 0.992, 0.895) x1
Ge (0.712, 0.336, 0.232) x1
P (0.000, 0.331, 0.334) x1
P (0.010, 0.039, 0.834) x1
P (0.032, 0.976, 0.166) x1
P (0.036, 0.375, 0.665) x1
P (0.081, 0.005, 0.498) x1
P (0.340, 0.375, 0.168) x1
P (0.372, 0.715, 0.999) x1
P (0.373, 0.294, 0.498) x1
P (0.407, 0.333, 0.834) x1
P (0.412, 0.636, 0.334) x1
P (0.659, 0.718, 0.498) x1
P (0.661, 0.005, 0.998) x1
P (0.699, 0.640, 0.833) x1
P (0.702, 0.046, 0.334) x1
P (0.745, 0.662, 0.167) x1
S (0.083, 0.294, 0.997) x1
S (0.332, 0.671, 0.664) x1
S (0.744, 0.967, 0.665) x1
O (0.010, 0.486, 0.607) x1
O (0.025, 0.489, 0.326) x1
O (0.028, 0.859, 0.826) x1
O (0.061, 0.463, 0.722) x1
O (0.062, 0.854, 0.220) x1
O (0.064, 0.840, 0.501) x1
O (0.066, 0.469, 0.001) x1
O (0.158, 0.033, 0.557) x1
O (0.167, 0.184, 0.050) x1
O (0.189, 0.163, 0.338) x1
O (0.190, 0.217, 0.939) x1
O (0.191, 0.998, 0.159) x1
O (0.193, 0.029, 0.840) x1
O (0.202, 0.191, 0.662) x1
O (0.208, 0.476, 0.499) x1
O (0.208, 0.695, 0.001) x1
O (0.208, 0.969, 0.442) x1
O (0.220, 0.698, 0.718) x1
O (0.222, 0.485, 0.828) x1
O (0.233, 0.460, 0.225) x1
O (0.234, 0.654, 0.326) x1
O (0.253, 0.650, 0.607) x1
O (0.265, 0.487, 0.109) x1
O (0.335, 0.841, 0.941) x1
O (0.340, 0.205, 0.440) x1
O (0.357, 0.825, 0.661) x1
O (0.374, 0.189, 0.162) x1
O (0.390, 0.160, 0.839) x1
O (0.397, 0.799, 0.055) x1
O (0.402, 0.186, 0.556) x1
O (0.403, 0.820, 0.338) x1
O (0.493, 0.352, 0.891) x1
O (0.495, 0.528, 0.391) x1
O (0.506, 0.511, 0.670) x1
O (0.520, 0.296, 0.776) x1
O (0.525, 0.035, 0.337) x1
O (0.528, 0.361, 0.174) x1
O (0.532, 0.828, 0.838) x1
O (0.534, 0.315, 0.492) x1
O (0.536, 0.535, 0.991) x1
O (0.536, 0.550, 0.276) x1
O (0.547, 0.034, 0.053) x1
O (0.551, 0.798, 0.556) x1
O (0.560, 0.822, 0.162) x1
O (0.569, 0.838, 0.440) x1
O (0.569, 0.981, 0.661) x1
O (0.572, 0.976, 0.938) x1
O (0.665, 0.169, 0.276) x1
O (0.670, 0.564, 0.774) x1
O (0.680, 0.536, 0.492) x1
O (0.684, 0.165, 0.991) x1
O (0.721, 0.144, 0.669) x1
O (0.722, 0.128, 0.392) x1
O (0.723, 0.496, 0.174) x1
O (0.731, 0.526, 0.889) x1
O (0.829, 0.862, 0.720) x1
O (0.830, 0.691, 0.223) x1
O (0.839, 0.703, 0.500) x1
O (0.841, 0.838, 0.000) x1
O (0.849, 0.635, 0.108) x1
O (0.850, 0.887, 0.609) x1
O (0.853, 0.862, 0.326) x1
O (0.856, 0.669, 0.827) x1
O (0.858, 0.159, 0.175) x1
O (0.872, 0.355, 0.670) x1
O (0.894, 0.361, 0.392) x1
O (0.897, 0.125, 0.891) x1
O (0.900, 0.166, 0.492) x1
O (0.907, 0.314, 0.992) x1
O (0.910, 0.301, 0.277) x1
O (0.934, 0.153, 0.776) x1
O (0.990, 0.909, 0.107) x1

Properties
Electronic total energy in eV/cell: -778.5
Total magnetic moment in μB/f.u.: 0.000

2.
Entry from the Materials Project: LaTa2CuClO7 after structural relaxation (PBE-GGA).

Unit cell a=3.915 b=3.915 c=11.763 alpha=90.00 beta=90.00 gamma=90.00
Space group P4/mmm (No. 123)
Unique sites:
La (0.000, 0.000, 0.000) x1
Ta (0.500, 0.500, 0.191) x2
Cu (0.500, 0.500, 0.500) x1
Cl (0.000, 0.000, 0.500) x1
O (0.000, 0.500, 0.154) x4
O (0.500, 0.500, 0.000) x1
O (0.500, 0.500, 0.344) x2

Properties
Electronic total energy in eV/cell: -99.5
Total magnetic moment in μB/f.u.: 0.994